No. 1
The following is a DFT calculation (PBE+U) of an optimized crystal structure of Fe2OF3.

Cell lengths 4.8391, 3.1435, 24.0339 Å; angles 90.00, 90.99, 90.00 degrees
Space group Pm (No. 6)
Unique sites:
Fe 0.0000 0.0000 0.0000 (multiplicity 1)
Fe 0.0027 0.0000 0.8000 (multiplicity 1)
Fe 0.0085 0.0000 0.6002 (multiplicity 1)
Fe 0.0464 0.0000 0.4045 (multiplicity 1)
Fe 0.4968 0.5000 0.3117 (multiplicity 1)
Fe 0.5332 0.5000 0.1077 (multiplicity 1)
Fe 0.5386 0.5000 0.9075 (multiplicity 1)
Fe 0.5418 0.5000 0.7075 (multiplicity 1)
Fe 0.5509 0.5000 0.5079 (multiplicity 1)
Fe 0.9923 0.0000 0.2007 (multiplicity 1)
O 0.3341 0.0000 0.3418 (multiplicity 1)
O 0.8290 0.5000 0.1691 (multiplicity 1)
O 0.8379 0.5000 0.9679 (multiplicity 1)
O 0.8406 0.5000 0.7676 (multiplicity 1)
O 0.8483 0.5000 0.5675 (multiplicity 1)
F 0.2222 0.5000 0.0458 (multiplicity 1)
F 0.2218 0.5000 0.2438 (multiplicity 1)
F 0.2237 0.5000 0.8458 (multiplicity 1)
F 0.2258 0.5000 0.6463 (multiplicity 1)
F 0.2420 0.5000 0.4480 (multiplicity 1)
F 0.3126 0.0000 0.1486 (multiplicity 1)
F 0.3224 0.0000 0.9490 (multiplicity 1)
F 0.3253 0.0000 0.7488 (multiplicity 1)
F 0.3325 0.0000 0.5497 (multiplicity 1)
F 0.7206 0.0000 0.2662 (multiplicity 1)
F 0.7372 0.0000 0.4610 (multiplicity 1)
F 0.7387 0.0000 0.0652 (multiplicity 1)
F 0.7402 0.0000 0.8644 (multiplicity 1)
F 0.7422 0.0000 0.6641 (multiplicity 1)
F 0.8277 0.5000 0.3605 (multiplicity 1)

Total moment   9.00 μB/f.u.
Energy above the lowest structure with this stoichiometry   0.031 eV/atom
Crystal system   monoclinic

=====

No. 2
The following is a DFT calculation (PBE+U) of an optimized crystal structure of Fe2O2F5.

Cell lengths 7.4622, 11.0238, 6.4904 Å; angles 90.00, 90.00, 90.00 degrees
Space group Imma (No. 74)
Unique sites:
Fe 0.0000 0.0000 0.0000 (multiplicity 4)
Fe 0.2500 0.2500 0.2500 (multiplicity 4)
O 0.0000 0.0513 0.7075 (multiplicity 8)
F 0.0000 0.2500 0.3456 (multiplicity 4)
F 0.1870 0.1241 0.0504 (multiplicity 16)

Total moment   3.00 μB/f.u.
Energy above the lowest structure with this stoichiometry   0.257 eV/atom
Crystal system   orthorhombic

=====

No. 3
The following is a DFT calculation (PBE+U) of an optimized crystal structure of Fe6O7F5.

Cell lengths 5.6501, 5.6550, 7.5981 Å; angles 69.72, 69.82, 70.15 degrees
Space group P1 (No. 1)
Unique sites:
Fe 0.0000 0.0000 0.0000 (multiplicity 1)
Fe 0.0021 0.0088 0.4927 (multiplicity 1)
Fe 0.3208 0.3145 0.1472 (multiplicity 1)
Fe 0.3703 0.3050 0.6804 (multiplicity 1)
Fe 0.6399 0.6475 0.8211 (multiplicity 1)
Fe 0.6553 0.6552 0.3394 (multiplicity 1)
O 0.2229 0.2138 0.9575 (multiplicity 1)
O 0.2898 0.6770 0.0041 (multiplicity 1)
O 0.3618 0.9678 0.3246 (multiplicity 1)
O 0.5721 0.5529 0.6203 (multiplicity 1)
O 0.6572 0.0019 0.6655 (multiplicity 1)
O 0.6822 0.2893 0.0014 (multiplicity 1)
O 0.9739 0.3603 0.3213 (multiplicity 1)
F 0.0419 0.6179 0.6634 (multiplicity 1)
F 0.1084 0.0913 0.6970 (multiplicity 1)
F 0.4312 0.4201 0.3777 (multiplicity 1)
F 0.7667 0.7618 0.0409 (multiplicity 1)
F 0.8970 0.8884 0.2984 (multiplicity 1)

Total moment   29.00 μB/f.u.
Energy above the lowest structure with this stoichiometry   0.007 eV/atom
Crystal system   triclinic

=====

What is the total moment in the third record?
29.00 μB/f.u.

=====

What is the formula in the second record?
Fe2O2F5

=====

Please write out number 3 again, unchanged.
The following is a DFT calculation (PBE+U) of an optimized crystal structure of Fe6O7F5.

Cell lengths 5.6501, 5.6550, 7.5981 Å; angles 69.72, 69.82, 70.15 degrees
Space group P1 (No. 1)
Unique sites:
Fe 0.0000 0.0000 0.0000 (multiplicity 1)
Fe 0.0021 0.0088 0.4927 (multiplicity 1)
Fe 0.3208 0.3145 0.1472 (multiplicity 1)
Fe 0.3703 0.3050 0.6804 (multiplicity 1)
Fe 0.6399 0.6475 0.8211 (multiplicity 1)
Fe 0.6553 0.6552 0.3394 (multiplicity 1)
O 0.2229 0.2138 0.9575 (multiplicity 1)
O 0.2898 0.6770 0.0041 (multiplicity 1)
O 0.3618 0.9678 0.3246 (multiplicity 1)
O 0.5721 0.5529 0.6203 (multiplicity 1)
O 0.6572 0.0019 0.6655 (multiplicity 1)
O 0.6822 0.2893 0.0014 (multiplicity 1)
O 0.9739 0.3603 0.3213 (multiplicity 1)
F 0.0419 0.6179 0.6634 (multiplicity 1)
F 0.1084 0.0913 0.6970 (multiplicity 1)
F 0.4312 0.4201 0.3777 (multiplicity 1)
F 0.7667 0.7618 0.0409 (multiplicity 1)
F 0.8970 0.8884 0.2984 (multiplicity 1)

Total moment   29.00 μB/f.u.
Energy above the lowest structure with this stoichiometry   0.007 eV/atom
Crystal system   triclinic

=====

What is the energy above the lowest structure with this stoichiometry in the first record?
0.031 eV/atom